VASP calculation (PBE-GGA) on Na3LaZrSiP2O12 after structural relaxation.

Output
Excess energy over the best structure of this formula in the dataset: 0.00 eV per formula unit
Volume: 1795.9 Å³/cell
SG: No. 9
ΔE_f: -3.049 eV per atom
Total energy: -145.81 eV per formula unit

a b c (Å): 9.452 9.452 23.154
angles (deg): 90.11 90.11 60.25
Atoms (fractional coordinates):
Na: 0.004 0.996 0.500
Na: 0.024 0.646 0.585
Na: 0.036 0.290 0.078
Na: 0.290 0.036 0.578
Na: 0.313 0.974 0.919
Na: 0.317 0.342 0.167
Na: 0.342 0.317 0.667
Na: 0.356 0.634 0.747
Na: 0.357 0.991 0.246
Na: 0.634 0.356 0.247
Na: 0.646 0.024 0.085
Na: 0.660 0.675 0.334
Na: 0.675 0.660 0.834
Na: 0.686 0.968 0.410
Na: 0.968 0.686 0.910
Na: 0.974 0.313 0.419
Na: 0.991 0.357 0.746
Na: 0.996 0.004 0.000
La: 0.006 0.974 0.348
La: 0.332 0.332 0.014
La: 0.332 0.332 0.514
La: 0.665 0.667 0.182
La: 0.667 0.665 0.682
La: 0.974 0.006 0.848
Zr: 0.000 0.984 0.149
Zr: 0.324 0.329 0.816
Zr: 0.329 0.324 0.316
Zr: 0.655 0.655 0.483
Zr: 0.655 0.655 0.983
Zr: 0.984 0.000 0.649
Si: 0.008 0.683 0.752
Si: 0.020 0.338 0.919
Si: 0.338 0.020 0.419
Si: 0.352 0.958 0.084
Si: 0.683 0.008 0.252
Si: 0.958 0.352 0.584
P: 0.007 0.282 0.251
P: 0.016 0.618 0.419
P: 0.282 0.007 0.751
P: 0.292 0.682 0.248
P: 0.339 0.625 0.913
P: 0.350 0.678 0.586
P: 0.618 0.016 0.919
P: 0.625 0.339 0.413
P: 0.674 0.953 0.580
P: 0.678 0.350 0.086
P: 0.682 0.292 0.748
P: 0.953 0.674 0.080
O: 0.010 0.171 0.914
O: 0.020 0.792 0.696
O: 0.029 0.164 0.199
O: 0.100 0.557 0.477
O: 0.120 0.316 0.978
O: 0.124 0.504 0.369
O: 0.126 0.530 0.075
O: 0.130 0.357 0.864
O: 0.143 0.327 0.580
O: 0.164 0.029 0.699
O: 0.168 0.291 0.254
O: 0.169 0.974 0.088
O: 0.171 0.010 0.414
O: 0.177 0.785 0.196
O: 0.184 0.845 0.586
O: 0.185 0.504 0.753
O: 0.194 0.801 0.908
O: 0.209 0.986 0.807
O: 0.232 0.786 0.302
O: 0.291 0.168 0.754
O: 0.293 0.518 0.253
O: 0.305 0.553 0.967
O: 0.310 0.540 0.580
O: 0.316 0.120 0.478
O: 0.327 0.143 0.080
O: 0.357 0.130 0.364
O: 0.357 0.514 0.859
O: 0.437 0.657 0.644
O: 0.450 0.854 0.744
O: 0.455 0.887 0.143
O: 0.457 0.688 0.535
O: 0.459 0.837 0.028
O: 0.469 0.646 0.241
O: 0.500 0.633 0.919
O: 0.504 0.124 0.869
O: 0.504 0.185 0.253
O: 0.512 0.844 0.421
O: 0.514 0.357 0.359
O: 0.518 0.293 0.753
O: 0.530 0.126 0.575
O: 0.540 0.310 0.080
O: 0.553 0.305 0.467
O: 0.557 0.100 0.977
O: 0.614 0.851 0.918
O: 0.633 0.500 0.419
O: 0.640 0.861 0.250
O: 0.641 0.882 0.634
O: 0.646 0.469 0.741
O: 0.657 0.437 0.144
O: 0.688 0.457 0.035
O: 0.693 0.838 0.527
O: 0.774 0.993 0.313
O: 0.785 0.177 0.696
O: 0.786 0.232 0.802
O: 0.792 0.020 0.196
O: 0.799 0.972 0.913
O: 0.801 0.194 0.408
O: 0.837 0.459 0.528
O: 0.838 0.693 0.027
O: 0.842 0.949 0.586
O: 0.844 0.512 0.921
O: 0.845 0.184 0.086
O: 0.851 0.614 0.418
O: 0.854 0.450 0.244
O: 0.861 0.640 0.750
O: 0.882 0.641 0.134
O: 0.887 0.455 0.643
O: 0.949 0.842 0.086
O: 0.972 0.799 0.413
O: 0.974 0.169 0.588
O: 0.986 0.209 0.307
O: 0.993 0.774 0.813